# 1
Here is a relaxed Ga4Hg11As4Br16 crystal from Materials Project. Energies are from PBE.

Geometry as POSCAR:
```
Ga4Hg11As4Br16
1.0
6.890 -3.927 0.000
6.890 3.927 0.000
-3.503 0.000 23.059
Ga Hg As Br
4 11 4 16
Direct
0.139 0.139 0.390
0.259 0.259 0.886
0.741 0.741 0.114
0.861 0.861 0.610
0.029 0.029 0.057
0.233 0.735 0.779
0.265 0.767 0.221
0.266 0.266 0.217
0.468 0.468 0.384
0.500 0.500 0.500
0.532 0.532 0.616
0.734 0.734 0.783
0.735 0.233 0.779
0.767 0.265 0.221
0.971 0.971 0.943
0.086 0.086 0.170
0.443 0.443 0.269
0.557 0.557 0.731
0.914 0.914 0.830
0.031 0.031 0.649
0.034 0.549 0.649
0.066 0.570 0.085
0.163 0.163 0.491
0.238 0.238 0.783
0.429 0.429 0.921
0.430 0.934 0.915
0.451 0.966 0.351
0.549 0.034 0.649
0.570 0.066 0.085
0.571 0.571 0.079
0.762 0.762 0.217
0.837 0.837 0.509
0.934 0.430 0.915
0.966 0.451 0.351
0.969 0.969 0.351
```

Summary:
- VASP energy: -2.26 eV/atom
- Total energy after the MP2020 corrections: -2.51 eV per atom
- Spin magnetization: 0.069 Bohr magnetons per cell
- ΔH_f (0 K): -27.49 eV/f.u.

# 2
Here is a relaxed Hg4As2Br3 crystal from Materials Project. Energies are from PBE.

Geometry as POSCAR:
```
Hg4As2Br3
1.0
13.029 0.000 0.000
0.000 13.029 0.000
0.000 0.000 13.029
Hg As Br
32 16 24
Direct
0.001 0.245 0.033
0.001 0.255 0.533
0.033 0.001 0.245
0.033 0.499 0.745
0.223 0.723 0.777
0.223 0.777 0.277
0.245 0.033 0.001
0.245 0.467 0.501
0.255 0.533 0.001
0.255 0.967 0.501
0.277 0.223 0.777
0.277 0.277 0.277
0.467 0.501 0.245
0.467 0.999 0.745
0.499 0.745 0.033
0.499 0.755 0.533
0.501 0.245 0.467
0.501 0.255 0.967
0.533 0.001 0.255
0.533 0.499 0.755
0.723 0.723 0.723
0.723 0.777 0.223
0.745 0.033 0.499
0.745 0.467 0.999
0.755 0.533 0.499
0.755 0.967 0.999
0.777 0.223 0.723
0.777 0.277 0.223
0.967 0.501 0.255
0.967 0.999 0.755
0.999 0.745 0.467
0.999 0.755 0.967
0.054 0.054 0.054
0.054 0.446 0.554
0.109 0.609 0.891
0.109 0.891 0.391
0.391 0.109 0.891
0.391 0.391 0.391
0.446 0.554 0.054
0.446 0.946 0.554
0.554 0.054 0.446
0.554 0.446 0.946
0.609 0.609 0.609
0.609 0.891 0.109
0.891 0.109 0.609
0.891 0.391 0.109
0.946 0.554 0.446
0.946 0.946 0.946
0.067 0.234 0.314
0.067 0.266 0.814
0.186 0.567 0.234
0.186 0.933 0.734
0.234 0.186 0.567
0.234 0.314 0.067
0.266 0.686 0.567
0.266 0.814 0.067
0.314 0.067 0.234
0.314 0.433 0.734
0.433 0.734 0.314
0.433 0.766 0.814
0.567 0.234 0.186
0.567 0.266 0.686
0.686 0.567 0.266
0.686 0.933 0.766
0.734 0.186 0.933
0.734 0.314 0.433
0.766 0.686 0.933
0.766 0.814 0.433
0.814 0.067 0.266
0.814 0.433 0.766
0.933 0.734 0.186
0.933 0.766 0.686
```

Summary:
- VASP energy: -1.99 eV/atom
- Total energy after the MP2020 corrections: -2.17 eV per atom
- Spin magnetization: 0.000 Bohr magnetons per cell
- ΔH_f (0 K): -4.10 eV/f.u.